# 1
This record from Materials Project describes an optimized crystal structure of CaCu2O4. The functional is PBE-GGA.

Structure (POSCAR):
```
CaCu2O4
1.0
9.0283 0.0000 0.0000
0.0000 3.0626 0.0000
0.0000 0.0000 10.5989
Ca Cu O
4 8 16
Direct
0.2416 0.2500 0.1603
0.2584 0.7500 0.6603
0.7416 0.2500 0.3397
0.7584 0.7500 0.8397
0.0606 0.2500 0.3870
0.0834 0.2500 0.8990
0.4166 0.7500 0.3990
0.4394 0.7500 0.8870
0.5606 0.2500 0.1130
0.5834 0.2500 0.6010
0.9166 0.7500 0.1010
0.9394 0.7500 0.6130
0.0255 0.7500 0.7843
0.0823 0.2500 0.5742
0.1175 0.7500 0.0247
0.2062 0.7500 0.3399
0.2938 0.2500 0.8399
0.3825 0.2500 0.5247
0.4177 0.7500 0.0742
0.4745 0.2500 0.2843
0.5255 0.7500 0.7157
0.5823 0.2500 0.9258
0.6175 0.7500 0.4753
0.7062 0.7500 0.1601
0.7938 0.2500 0.6601
0.8825 0.2500 0.9753
0.9177 0.7500 0.4258
0.9745 0.2500 0.2157
```

Magnetization: 0.339 μB/f.u.
E above lowest polymorph: 179 meV per atom
VASP energy: -5.424 eV/atom
Energy of formation from the pure elements: -1.531 eV per atom

# 2
This record from Materials Project describes an optimized crystal structure of Ca7Cu17O24. The functional is PBE-GGA.

Structure (POSCAR):
```
Ca7Cu17O24
1.0
9.8969 0.0000 0.0000
0.0000 16.4370 0.0000
0.0000 0.0000 3.6406
Ca Cu O
7 17 24
Direct
0.0000 0.0000 0.0000
0.0000 0.2530 0.9866
0.0000 0.7470 0.9866
0.5000 0.1263 0.7132
0.5000 0.3752 0.7051
0.5000 0.6248 0.7051
0.5000 0.8737 0.7132
0.0000 0.5000 0.8928
0.1602 0.3792 0.4999
0.1602 0.6208 0.4999
0.1642 0.1262 0.5008
0.1642 0.8738 0.5008
0.3323 0.2519 0.2119
0.3324 0.5000 0.1966
0.3323 0.7481 0.2119
0.3349 0.0000 0.2113
0.6651 0.0000 0.2113
0.6677 0.2519 0.2119
0.6676 0.5000 0.1966
0.6677 0.7481 0.2119
0.8358 0.1262 0.5008
0.8358 0.8738 0.5008
0.8398 0.3792 0.4999
0.8398 0.6208 0.4999
0.0000 0.1255 0.7609
0.0000 0.3860 0.7903
0.0000 0.6140 0.7903
0.0000 0.8745 0.7609
0.1630 0.2545 0.4682
0.1630 0.7455 0.4682
0.1649 0.5000 0.4401
0.1678 0.0000 0.4703
0.3287 0.3780 0.2404
0.3287 0.6220 0.2404
0.3309 0.1259 0.2425
0.3309 0.8741 0.2425
0.5000 0.0000 0.9541
0.5000 0.2514 0.9656
0.5000 0.5000 0.9487
0.5000 0.7486 0.9656
0.6691 0.1259 0.2425
0.6691 0.8741 0.2425
0.6713 0.3780 0.2404
0.6713 0.6220 0.2404
0.8322 0.0000 0.4703
0.8351 0.5000 0.4401
0.8370 0.2545 0.4682
0.8370 0.7455 0.4682
```

Magnetization: 2.049 μB/f.u.
VASP energy: -5.474 eV/atom
Energy of formation from the pure elements: -1.599 eV per atom

# 3
This record from Materials Project describes an optimized crystal structure of Ca2Cu2O5. The functional is PBE-GGA.

Structure (POSCAR):
```
Ca2Cu2O5
1.0
-7.4763 2.7494 2.6891
7.4763 -2.7494 2.6891
7.4763 2.7494 -2.6891
Ca Cu O
4 4 10
Direct
0.0164 0.1067 0.1231
0.0164 0.3933 0.4097
0.9836 0.6067 0.5903
0.9836 0.8933 0.8769
0.4855 0.7893 0.1962
0.4937 0.4937 0.0000
0.4937 0.9937 0.5000
0.5931 0.2893 0.8038
0.0043 0.6367 0.8676
0.4289 0.1147 0.5825
0.4289 0.3464 0.8142
0.4991 0.2369 0.2425
0.4991 0.7566 0.7623
0.5322 0.6147 0.1858
0.5322 0.8464 0.4175
0.7690 0.1367 0.1324
0.9943 0.2566 0.7575
0.9943 0.7369 0.2377
```

Magnetization: 0.002 μB/f.u.
E above lowest polymorph: 138 meV per atom
VASP energy: -5.656 eV/atom
Energy of formation from the pure elements: -1.932 eV per atom

# 4
This record from Materials Project describes an optimized crystal structure of CaCu2O4. The functional is PBE-GGA.

Structure (POSCAR):
```
CaCu2O4
1.0
6.2167 0.0000 0.0000
-3.1083 5.3838 0.0000
0.0000 0.0000 15.2565
Ca Cu O
6 12 24
Direct
0.0000 0.0000 0.0000
0.0000 0.0000 0.2336
0.0000 0.0000 0.6027
0.3333 0.6667 0.3585
0.3333 0.6667 0.9473
0.6667 0.3333 0.6619
0.0054 0.5027 0.1197
0.1642 0.3284 0.7772
0.1642 0.8358 0.7772
0.3333 0.6667 0.5645
0.3418 0.1709 0.4408
0.4973 0.5027 0.1197
0.4973 0.9946 0.1197
0.6667 0.3333 0.2744
0.6667 0.3333 0.8863
0.6716 0.8358 0.7772
0.8291 0.1709 0.4408
0.8291 0.6582 0.4408
0.0000 0.0000 0.3814
0.0000 0.0000 0.8571
0.0254 0.5127 0.8385
0.1691 0.3383 0.5053
0.1691 0.8309 0.5053
0.1870 0.3739 0.0600
0.1870 0.8130 0.0600
0.2865 0.1433 0.7144
0.3333 0.6667 0.2053
0.3333 0.6667 0.6879
0.3936 0.1968 0.1821
0.4873 0.5127 0.8385
0.4873 0.9746 0.8385
0.5333 0.0665 0.3600
0.5333 0.4667 0.3600
0.6261 0.8130 0.0600
0.6617 0.8309 0.5053
0.6667 0.3333 0.0080
0.6667 0.3333 0.5093
0.8032 0.1968 0.1821
0.8032 0.6064 0.1821
0.8567 0.1433 0.7144
0.8567 0.7135 0.7144
0.9335 0.4667 0.3600
```

Magnetization: 2.041 μB/f.u.
E above lowest polymorph: 238 meV per atom
VASP energy: -5.365 eV/atom
Energy of formation from the pure elements: -1.472 eV per atom

# 5
This record from Materials Project describes an optimized crystal structure of Ca2CuO3. The functional is PBE-GGA.

Structure (POSCAR):
```
Ca2CuO3
1.0
-1.6562 1.6945 9.0459
1.6562 -1.6945 9.0459
1.6562 1.6945 -9.0459
Ca Cu O
2 1 3
Direct
0.1822 0.1822 0.0000
0.8178 0.8178 0.0000
0.0000 0.0000 0.0000
0.3110 0.3110 0.0000
0.5000 0.0000 0.5000
0.6890 0.6890 0.0000
```

Magnetization: 0.955 μB/f.u.
E above lowest polymorph: 305 meV per atom
VASP energy: -5.706 eV/atom
Energy of formation from the pure elements: -2.224 eV per atom

# 6
This record from Materials Project describes an optimized crystal structure of CaCu6O8. The functional is PBE-GGA.

Structure (POSCAR):
```
CaCu6O8
1.0
0.0000 4.6389 4.6389
4.6389 0.0000 4.6389
4.6389 4.6389 0.0000
Ca Cu O
1 6 8
Direct
0.0000 0.0000 0.0000
0.0000 0.0000 0.5000
0.0000 0.5000 0.0000
0.0000 0.5000 0.5000
0.5000 0.0000 0.0000
0.5000 0.0000 0.5000
0.5000 0.5000 0.0000
0.1452 0.1452 0.1452
0.1452 0.1452 0.5643
0.1452 0.5643 0.1452
0.4357 0.8548 0.8548
0.5643 0.1452 0.1452
0.8548 0.4357 0.8548
0.8548 0.8548 0.4357
0.8548 0.8548 0.8548
```

Magnetization: 0.309 μB/f.u.
VASP energy: -5.316 eV/atom
Energy of formation from the pure elements: -1.270 eV per atom

# 7
This record from Materials Project describes an optimized crystal structure of CaCuO2. The functional is PBE-GGA.

Structure (POSCAR):
```
CaCuO2
1.0
5.4603 0.0000 0.0000
0.0000 11.1351 0.0000
0.0000 0.0000 3.2029
Ca Cu O
4 4 8
Direct
0.0244 0.1373 0.0046
0.4756 0.6373 0.9954
0.5244 0.3627 0.9954
0.9756 0.8627 0.0046
0.0150 0.3781 0.4929
0.4850 0.8781 0.5071
0.5150 0.1219 0.5071
0.9850 0.6219 0.4929
0.2267 0.7543 0.4990
0.2435 0.0061 0.5155
0.2565 0.5061 0.4845
0.2733 0.2543 0.5010
0.7267 0.7457 0.5010
0.7435 0.4939 0.4845
0.7565 0.9939 0.5155
0.7733 0.2457 0.4990
```

Magnetization: 0.000 μB/f.u.
VASP energy: -5.729 eV/atom
Energy of formation from the pure elements: -2.073 eV per atom

# 8
This record from Materials Project describes an optimized crystal structure of Ca2Cu2O5. The functional is PBE-GGA.

Structure (POSCAR):
```
Ca2Cu2O5
1.0
10.5165 0.0000 0.0000
0.0000 3.5978 0.0000
0.0000 0.0000 12.7687
Ca Cu O
8 8 20
Direct
0.0477 0.1768 0.0000
0.2026 0.1788 0.3334
0.2974 0.6788 0.8334
0.4523 0.6768 0.5000
0.5477 0.3232 0.0000
0.7026 0.3212 0.3334
0.7974 0.8212 0.8334
0.9523 0.8232 0.5000
0.0132 0.3612 0.7169
0.2390 0.1444 0.6203
0.2610 0.6444 0.1203
0.4868 0.8612 0.2169
0.5132 0.1388 0.7169
0.7390 0.3556 0.6203
0.7610 0.8556 0.1203
0.9868 0.6388 0.2169
0.0588 0.6787 0.3481
0.0835 0.3455 0.5817
0.1240 0.3671 0.1674
0.1698 0.1684 0.7562
0.1905 0.6739 0.9886
0.3095 0.1739 0.4886
0.3302 0.6684 0.2562
0.3760 0.8671 0.6674
0.4165 0.8455 0.0817
0.4412 0.1787 0.8481
0.5588 0.8213 0.3481
0.5835 0.1545 0.5817
0.6240 0.1329 0.1674
0.6698 0.3316 0.7562
0.6905 0.8261 0.9886
0.8095 0.3261 0.4886
0.8302 0.8316 0.2562
0.8760 0.6329 0.6674
0.9165 0.6545 0.0817
0.9412 0.3213 0.8481
```

E above lowest polymorph: 0 meV per atom
Largest piezoelectric modulus: 0.3 C/m²
VASP energy: -5.794 eV/atom
Energy of formation from the pure elements: -2.070 eV per atom